[1]
{"formula": "HfF4", "functional": "meta-GGA r2SCAN", "state": "optimized geometry", "lattice_angstrom": [[5.8389, -4.9256, 0.0000], [5.8389, 4.9256, 0.0000], [-4.5004, 0.0000, 6.1626]], "species": ["Hf", "Hf", "Hf", "Hf", "Hf", "Hf", "F", "F", "F", "F", "F", "F", "F", "F", "F", "F", "F", "F", "F", "F", "F", "F", "F", "F", "F", "F", "F", "F", "F", "F"], "frac_coords": [[0.2141, 0.7859, 0.7500], [0.2231, 0.3658, 0.1665], [0.3658, 0.2231, 0.6665], [0.6342, 0.7769, 0.3335], [0.7769, 0.6342, 0.8335], [0.7859, 0.2141, 0.2500], [0.0000, 0.5000, 0.0000], [0.0303, 0.7236, 0.8504], [0.0631, 0.1712, 0.4557], [0.1712, 0.0631, 0.9557], [0.1831, 0.5985, 0.4247], [0.2581, 0.3172, 0.8934], [0.2606, 0.5021, 0.7169], [0.2764, 0.9697, 0.6496], [0.3172, 0.2581, 0.3934], [0.3933, 0.6067, 0.2500], [0.4015, 0.8169, 0.0753], [0.4979, 0.7394, 0.7831], [0.5000, 0.0000, 0.5000], [0.5021, 0.2606, 0.2169], [0.5985, 0.1831, 0.9247], [0.6067, 0.3933, 0.7500], [0.6828, 0.7419, 0.6066], [0.7236, 0.0303, 0.3504], [0.7394, 0.4979, 0.2831], [0.7419, 0.6828, 0.1066], [0.8169, 0.4015, 0.5753], [0.8288, 0.9369, 0.0443], [0.9369, 0.8288, 0.5443], [0.9697, 0.2764, 0.1496]], "crystal_system": "monoclinic", "sg": "C2/c (15)"}

[2]
{"formula": "KHfPdF7", "functional": "meta-GGA r2SCAN", "state": "optimized geometry", "lattice_angstrom": [[11.4097, 0.0000, 0.0000], [0.0000, 7.9013, 0.0000], [0.0000, 0.0000, 6.2770]], "species": ["K", "K", "K", "K", "Hf", "Hf", "Hf", "Hf", "Pd", "Pd", "Pd", "Pd", "F", "F", "F", "F", "F", "F", "F", "F", "F", "F", "F", "F", "F", "F", "F", "F", "F", "F", "F", "F", "F", "F", "F", "F", "F", "F", "F", "F"], "frac_coords": [[0.2500, 0.0000, 0.2258], [0.2500, 0.5000, 0.2742], [0.7500, 0.0000, 0.7742], [0.7500, 0.5000, 0.7258], [0.0933, 0.2500, 0.7500], [0.4067, 0.7500, 0.7500], [0.5933, 0.2500, 0.2500], [0.9067, 0.7500, 0.2500], [0.0981, 0.7500, 0.7500], [0.4019, 0.2500, 0.7500], [0.5981, 0.7500, 0.2500], [0.9019, 0.2500, 0.2500], [0.0473, 0.1715, 0.4482], [0.0473, 0.3285, 0.0518], [0.0807, 0.7500, 0.2500], [0.1063, 0.0129, 0.8618], [0.1063, 0.4871, 0.6382], [0.2447, 0.2044, 0.5651], [0.2447, 0.2956, 0.9349], [0.2553, 0.7044, 0.9349], [0.2553, 0.7956, 0.5651], [0.3937, 0.5129, 0.6382], [0.3937, 0.9871, 0.8618], [0.4193, 0.2500, 0.2500], [0.4527, 0.6715, 0.0518], [0.4527, 0.8285, 0.4482], [0.5473, 0.1715, 0.5518], [0.5473, 0.3285, 0.9482], [0.5807, 0.7500, 0.7500], [0.6063, 0.0129, 0.1382], [0.6063, 0.4871, 0.3618], [0.7447, 0.2044, 0.4349], [0.7447, 0.2956, 0.0651], [0.7553, 0.7044, 0.0651], [0.7553, 0.7956, 0.4349], [0.8937, 0.5129, 0.3618], [0.8937, 0.9871, 0.1382], [0.9193, 0.2500, 0.7500], [0.9527, 0.6715, 0.9482], [0.9527, 0.8285, 0.5518]], "crystal_system": "orthorhombic", "sg": "Pnna (52)"}

[3]
{"formula": "LaHf2F11", "functional": "meta-GGA r2SCAN", "state": "optimized geometry", "lattice_angstrom": [[-3.8579, 5.0211, 5.5492], [3.8579, -5.0211, 5.5492], [3.8579, 5.0211, -5.5492]], "species": ["La", "La", "Hf", "Hf", "Hf", "Hf", "F", "F", "F", "F", "F", "F", "F", "F", "F", "F", "F", "F", "F", "F", "F", "F", "F", "F", "F", "F", "F", "F"], "frac_coords": [[0.2500, 0.2500, 0.0000], [0.7500, 0.7500, 0.0000], [0.1804, 0.6312, 0.8116], [0.3196, 0.1312, 0.4508], [0.6804, 0.8688, 0.5492], [0.8196, 0.3688, 0.1884], [0.0000, 0.5000, 0.5000], [0.0498, 0.3663, 0.1618], [0.0527, 0.9686, 0.2903], [0.1783, 0.4686, 0.9158], [0.2045, 0.8880, 0.8382], [0.2201, 0.3690, 0.5892], [0.2799, 0.8690, 0.1489], [0.2955, 0.1337, 0.6835], [0.3217, 0.2375, 0.2903], [0.4473, 0.7375, 0.9158], [0.4502, 0.6120, 0.3165], [0.5000, 0.0000, 0.5000], [0.5498, 0.3880, 0.6835], [0.5527, 0.2625, 0.0842], [0.6783, 0.7625, 0.7097], [0.7045, 0.8663, 0.3165], [0.7201, 0.1310, 0.8511], [0.7799, 0.6310, 0.4108], [0.7955, 0.1120, 0.1618], [0.8217, 0.5314, 0.0842], [0.9473, 0.0314, 0.7097], [0.9502, 0.6337, 0.8382]], "crystal_system": "orthorhombic", "sg": "Ibam (72)"}

[4]
{"formula": "LaHfF7", "functional": "meta-GGA r2SCAN", "state": "optimized geometry", "lattice_angstrom": [[6.3171, 0.0000, 0.0000], [0.0000, 5.8084, 0.0000], [-1.7680, 0.0000, 8.2961]], "species": ["La", "La", "Hf", "Hf", "F", "F", "F", "F", "F", "F", "F", "F", "F", "F", "F", "F", "F", "F"], "frac_coords": [[0.1618, 0.0000, 0.1873], [0.8382, 0.5000, 0.8127], [0.3070, 0.0104, 0.7222], [0.6930, 0.5104, 0.2778], [0.0569, 0.7993, 0.7143], [0.0653, 0.6674, 0.0325], [0.1156, 0.2858, 0.7116], [0.2558, 0.0004, 0.4835], [0.3571, 0.0182, 0.9621], [0.4506, 0.7302, 0.2751], [0.4752, 0.2574, 0.2613], [0.5248, 0.7574, 0.7387], [0.5494, 0.2302, 0.7249], [0.6429, 0.5182, 0.0379], [0.7442, 0.5004, 0.5165], [0.8844, 0.7858, 0.2884], [0.9347, 0.1674, 0.9675], [0.9431, 0.2993, 0.2857]], "crystal_system": "monoclinic", "sg": "P2_1 (4)"}

[5]
{"formula": "HfMnF6", "functional": "meta-GGA r2SCAN", "state": "optimized geometry", "lattice_angstrom": [[0.0000, 4.0892, 4.0892], [4.0892, 0.0000, 4.0892], [4.0892, 4.0892, 0.0000]], "species": ["Hf", "Mn", "F", "F", "F", "F", "F", "F"], "frac_coords": [[0.0000, 0.0000, 0.0000], [0.5000, 0.5000, 0.5000], [0.2432, 0.2432, 0.7568], [0.2432, 0.7568, 0.2432], [0.2432, 0.7568, 0.7568], [0.7568, 0.2432, 0.2432], [0.7568, 0.2432, 0.7568], [0.7568, 0.7568, 0.2432]], "crystal_system": "cubic", "sg": "Fm-3m (225)"}

[6]
{"formula": "NdHf2F11", "functional": "meta-GGA r2SCAN", "state": "optimized geometry", "lattice_angstrom": [[-3.8476, 4.9852, 5.4404], [3.8476, -4.9852, 5.4404], [3.8476, 4.9852, -5.4404]], "species": ["Nd", "Nd", "Hf", "Hf", "Hf", "Hf", "F", "F", "F", "F", "F", "F", "F", "F", "F", "F", "F", "F", "F", "F", "F", "F", "F", "F", "F", "F", "F", "F"], "frac_coords": [[0.2500, 0.2500, 0.0000], [0.7500, 0.7500, 0.0000], [0.1806, 0.6328, 0.8134], [0.3194, 0.1328, 0.4521], [0.6806, 0.8672, 0.5479], [0.8194, 0.3672, 0.1866], [0.0000, 0.5000, 0.5000], [0.0490, 0.9659, 0.2880], [0.0528, 0.3657, 0.1601], [0.1779, 0.4659, 0.9169], [0.2057, 0.8927, 0.8399], [0.2194, 0.3693, 0.5887], [0.2806, 0.8693, 0.1499], [0.2943, 0.1343, 0.6870], [0.3221, 0.2390, 0.2880], [0.4472, 0.6073, 0.3130], [0.4510, 0.7390, 0.9169], [0.5000, 0.0000, 0.5000], [0.5490, 0.2610, 0.0831], [0.5528, 0.3927, 0.6870], [0.6779, 0.7610, 0.7120], [0.7057, 0.8657, 0.3130], [0.7194, 0.1307, 0.8501], [0.7806, 0.6307, 0.4113], [0.7943, 0.1073, 0.1601], [0.8221, 0.5341, 0.0831], [0.9472, 0.6343, 0.8399], [0.9510, 0.0341, 0.7120]], "crystal_system": "orthorhombic", "sg": "Ibam (72)"}

One value per record, in order, for VASP energy: -15.633, -12.719, -15.247, -15.015, -13.494, -15.210 eV/atom.